# 1
This record from Materials Project describes a geometry-optimized LiSmW2O8 structure. The functional is GGA+U.

The structure in POSCAR format:
```
LiSmW2O8
1.0
7.1856 0.0000 0.0000
-0.2155 7.4157 0.0000
-3.2259 -3.1158 5.9844
O Sm Li W
16 2 2 4
direct
0.8660 0.0123 0.2019
0.1841 0.3639 0.8046
0.7090 0.0071 0.4856
0.8229 0.3648 0.4421
0.1340 0.9877 0.7981
0.2910 0.9929 0.5144
0.6153 0.8273 0.7367
0.5508 0.4596 0.7474
0.0422 0.3059 0.0958
0.9578 0.6941 0.9042
0.4492 0.5404 0.2526
0.1771 0.6352 0.5579
0.5190 0.1724 0.9919
0.8159 0.6361 0.1954
0.3847 0.1727 0.2633
0.4810 0.8276 0.0081
0.8158 0.7120 0.5380
0.1842 0.2880 0.4620
0.2526 0.6757 0.0099
0.7474 0.3243 0.9901
0.6485 0.1059 0.2887
0.3515 0.8941 0.7113
0.7385 0.7068 0.9692
0.2615 0.2932 0.0308
```

Values from the calculation:
formation enthalpy at 0 K: -255 kJ/mol of atoms
E (MP2020): -207.78 eV per cell
space group: P-1 (2)
energy: -179.032 eV/cell

# 2
This record from Materials Project describes a geometry-optimized LiSmW2O8 structure. The functional is GGA+U.

The structure in POSCAR format:
```
LiSmW2O8
1.0
5.2664 -4.0863 1.3621
0.4684 -1.6853 6.5748
-5.0291 -0.1044 -4.5809
O W Li Sm
8 2 1 1
direct
0.7439 0.3453 0.9118
0.5827 0.9947 0.9057
0.0890 0.6770 0.0943
0.3230 0.4173 0.4120
0.0053 0.9110 0.5880
0.1679 0.2561 0.6014
0.4335 0.8321 0.0882
0.6547 0.5665 0.3986
0.5000 0.5000 0.0000
0.2500 0.7500 0.5000
0.0000 0.0000 0.0000
0.7500 0.2500 0.5000
```

Values from the calculation:
formation enthalpy at 0 K: -249 kJ/mol of atoms
E (MP2020): -103.14 eV per cell
space group: I-4 (82)
energy: -88.770 eV/cell

# 3
This record from Materials Project describes a geometry-optimized Li4Ti2V3Sn3O16 structure. The functional is GGA+U.

The structure in POSCAR format:
```
Li4Ti2V3Sn3O16
1.0
2.2835 -2.4175 5.1996
4.8732 2.5603 2.7912
-5.8621 5.6071 5.2855
O Ti V Sn Li
16 2 3 3 4
direct
0.9963 0.9963 0.3160
0.6664 0.6664 0.0977
0.9558 0.5249 0.3427
0.5249 0.9558 0.3427
0.1602 0.6656 0.0972
0.3312 0.3312 0.5999
0.3458 0.8314 0.5912
0.4812 0.4812 0.8525
0.9982 0.9982 0.8037
0.6656 0.1602 0.0972
0.0461 0.4777 0.8505
0.5158 0.5158 0.3439
0.4777 0.0461 0.8505
0.8287 0.8287 0.5947
0.1604 0.1604 0.0940
0.8314 0.3458 0.5912
0.6782 0.6782 0.5017
0.3443 0.3443 0.9776
0.8287 0.8287 0.2140
0.1828 0.6517 0.7132
0.6517 0.1828 0.7132
0.3380 0.8295 0.2146
0.8295 0.3380 0.2146
0.1701 0.1701 0.7139
0.6728 0.6728 0.8926
0.9947 0.9947 0.5011
0.3331 0.3331 0.3971
0.9907 0.9907 0.9887
```

Values from the calculation:
formation enthalpy at 0 K: -243 kJ/mol of atoms
E (MP2020): -212.36 eV per cell
space group: Cm (8)
energy: -196.265 eV/cell

# 4
This record from Materials Project describes a geometry-optimized LiVSnO4 structure. The functional is GGA+U.

The structure in POSCAR format:
```
LiVSnO4
1.0
-5.8299 1.1887 -1.0952
2.2978 -5.5747 -1.5727
-4.3638 -2.8980 3.3748
V O Sn Li
2 8 2 2
direct
0.5000 0.5000 0.5000
0.0000 0.5000 0.5000
0.0308 0.2949 0.7332
0.4692 0.7332 0.2949
0.5308 0.2668 0.7051
0.5171 0.2604 0.2604
0.4829 0.7396 0.7396
0.0171 0.7396 0.7396
0.9829 0.2604 0.2604
0.9692 0.7051 0.2668
0.5000 0.0000 0.5000
0.0000 0.5000 0.0000
0.2500 0.1227 0.1227
0.7500 0.8773 0.8773
```

Values from the calculation:
formation enthalpy at 0 K: -225 kJ/mol of atoms
E (MP2020): -102.22 eV per cell
space group: Imma (74)
energy: -93.327 eV/cell

# 5
This record from Materials Project describes a geometry-optimized Li2V2SnO6 structure. The functional is GGA+U.

The structure in POSCAR format:
```
Li2V2SnO6
1.0
-2.6568 4.6288 0.0001
0.0002 0.0003 10.3315
5.3371 0.0292 0.0001
O V Li Sn
12 4 4 2
direct
0.6653 0.9031 0.6657
0.5165 0.3913 0.1638
0.1642 0.3918 0.5166
0.3356 0.8913 0.9842
0.3343 0.0969 0.3347
0.6648 0.1089 0.0163
0.1659 0.5970 0.1648
0.8363 0.6086 0.4835
0.0158 0.1087 0.6644
0.9837 0.8911 0.3352
0.8352 0.4030 0.8341
0.4833 0.6082 0.8357
0.3358 0.0000 0.6642
0.1635 0.5000 0.8367
0.6643 0.0000 0.3358
0.8357 0.5000 0.1642
0.1414 0.7497 0.6418
0.8589 0.2501 0.3587
0.6413 0.7499 0.1411
0.3582 0.2503 0.8586
0.5001 0.5001 0.4999
0.9998 0.0000 0.0001
```

Values from the calculation:
formation enthalpy at 0 K: -222 kJ/mol of atoms
E (MP2020): -162.04 eV per cell
space group: C222_1 (20)
energy: -146.997 eV/cell

# 6
This record from Materials Project describes a geometry-optimized LiVSnO4 structure. The functional is GGA+U.

The structure in POSCAR format:
```
LiVSnO4
1.0
-4.7728 2.2202 3.1146
-3.7516 -1.7465 -4.5039
-1.0570 -7.6912 3.8629
O Li V Sn
16 4 4 4
direct
0.7383 0.9816 0.4986
0.9816 0.2617 0.7486
0.2617 0.9816 0.5014
0.0184 0.7383 0.2486
0.4817 0.7369 0.2612
0.7383 0.0184 0.0014
0.2617 0.0184 0.9986
0.5183 0.7369 0.7388
0.7369 0.4817 0.9888
0.5183 0.2631 0.7612
0.7369 0.5183 0.5112
0.2631 0.4817 0.0112
0.9816 0.7383 0.7514
0.0184 0.2617 0.2514
0.2631 0.5183 0.4888
0.4817 0.2631 0.2388
0.2314 0.0000 0.2500
0.0000 0.2314 0.0000
0.7686 0.0000 0.7500
0.0000 0.7686 0.5000
0.2404 0.5000 0.2500
0.5000 0.2404 0.0000
0.7596 0.5000 0.7500
0.5000 0.7596 0.5000
0.7464 0.2536 0.3750
0.2536 0.2536 0.6250
0.7464 0.7464 0.1250
0.2536 0.7464 0.8750
```

Values from the calculation:
formation enthalpy at 0 K: -211 kJ/mol of atoms
E (MP2020): -200.39 eV per cell
space group: P4_322 (95)
energy: -182.598 eV/cell

# 7
This record from Materials Project describes a geometry-optimized Li4V5Sn3O16 structure. The functional is GGA+U.

The structure in POSCAR format:
```
Li4V5Sn3O16
1.0
3.0325 5.3012 0.0000
-3.0325 5.3012 0.0000
0.0000 0.1166 9.6479
O Sn Li V
16 3 4 5
direct
0.6661 0.1568 0.1011
0.3374 0.8221 0.5991
0.4784 0.4784 0.8413
0.1568 0.6661 0.1011
0.5194 0.5194 0.3485
0.5269 0.9598 0.3429
0.9598 0.5269 0.3429
0.4878 0.0458 0.8434
0.9961 0.9961 0.3169
0.8221 0.3374 0.5991
0.9926 0.9926 0.8054
0.6709 0.6709 0.0960
0.1611 0.1611 0.0893
0.0458 0.4878 0.8434
0.3372 0.3372 0.5985
0.8317 0.8317 0.6061
0.3395 0.8319 0.2136
0.1698 0.1698 0.7141
0.8319 0.3395 0.2136
0.9880 0.9880 0.9905
0.6740 0.6740 0.8891
0.3345 0.3345 0.3952
0.9925 0.9925 0.5017
0.3420 0.3420 0.9829
0.6537 0.1809 0.7119
0.8319 0.8319 0.2136
0.6752 0.6752 0.4947
0.1809 0.6537 0.7119
```

Values from the calculation:
formation enthalpy at 0 K: -224 kJ/mol of atoms
E (MP2020): -209.38 eV per cell
space group: Cm (8)
energy: -189.884 eV/cell

# 8
This record from Materials Project describes a geometry-optimized Li3V4SnO12 structure. The functional is GGA+U.

The structure in POSCAR format:
```
Li3V4SnO12
1.0
5.1390 0.0000 0.0000
0.0285 5.4756 0.0000
0.0698 0.6490 7.3806
Sn O Li V
1 12 3 4
direct
0.0008 0.4209 0.7138
0.1788 0.3440 0.4622
0.3058 0.8431 0.4526
0.6929 0.8384 0.9604
0.6178 0.5388 0.2618
0.8023 0.7138 0.5863
0.7063 0.2236 0.5821
0.3683 0.5469 0.7582
0.1163 0.0481 0.7726
0.3140 0.2303 0.0761
0.8256 0.3490 0.9597
0.8839 0.0332 0.2513
0.1917 0.7299 0.0731
0.9957 0.4242 0.2138
0.5017 0.9365 0.7190
0.5012 0.9370 0.2105
0.0204 0.0014 0.4978
0.9790 0.9769 0.0188
0.5129 0.5116 0.4882
0.4846 0.4934 0.0120
```

Values from the calculation:
formation enthalpy at 0 K: -228 kJ/mol of atoms
E (MP2020): -152.73 eV per cell
space group: P1 (1)
energy: -137.684 eV/cell

# 9
This record from Materials Project describes a geometry-optimized Li4V5SnO12 structure. The functional is GGA+U.

The structure in POSCAR format:
```
Li4V5SnO12
1.0
4.5238 2.6392 0.0000
-4.5238 2.6392 0.0000
0.0000 0.0865 10.2861
V Li Sn O
5 4 1 12
direct
0.8426 0.1574 0.5000
0.1574 0.8426 0.5000
0.3364 0.6636 0.0000
0.6636 0.3364 0.0000
0.5000 0.5000 0.5000
0.3640 0.8456 0.7470
0.8456 0.3640 0.7470
0.1544 0.6360 0.2530
0.6360 0.1544 0.2530
0.0000 0.0000 0.0000
0.1751 0.1751 0.3986
0.5050 0.1566 0.6038
0.6649 0.0162 0.8899
0.9838 0.3351 0.1101
0.3378 0.3378 0.8986
0.8434 0.4950 0.3962
0.1566 0.5050 0.6038
0.3351 0.9838 0.1101
0.4950 0.8434 0.3962
0.0162 0.6649 0.8899
0.8249 0.8249 0.6014
0.6622 0.6622 0.1014
```

Values from the calculation:
formation enthalpy at 0 K: -226 kJ/mol of atoms
E (MP2020): -167.87 eV per cell
space group: C2/m (12)
energy: -151.131 eV/cell

# 10
This record from Materials Project describes a geometry-optimized Li4V5Sn3O16 structure. The functional is GGA+U.

The structure in POSCAR format:
```
Li4V5Sn3O16
1.0
-6.1146 0.0000 0.0000
3.0464 5.3358 0.0000
-0.0505 -0.0971 -9.7329
O V Li Sn
16 5 4 3
direct
0.9991 0.0006 0.3165
0.3277 0.1679 0.1004
0.1695 0.8426 0.5999
0.6695 0.8419 0.5997
0.6771 0.3289 0.6013
0.4805 0.9639 0.3462
0.4749 0.5157 0.3424
0.9933 0.0051 0.8098
0.5120 0.4673 0.8411
0.8385 0.6758 0.0914
0.3336 0.6655 0.0970
0.5376 0.0437 0.8326
0.1480 0.3207 0.6096
0.9592 0.4694 0.8407
0.0404 0.5172 0.3421
0.8417 0.1700 0.1018
0.6658 0.3271 0.9860
0.1690 0.3378 0.2143
0.8252 0.1657 0.7135
0.3283 0.6635 0.4902
0.3381 0.1688 0.7114
0.0050 0.0121 0.4997
0.6666 0.3315 0.3958
0.3279 0.6519 0.8909
0.0123 0.0251 0.9924
0.6609 0.8300 0.2136
0.1688 0.8304 0.2133
0.8298 0.6601 0.7142
```

Values from the calculation:
formation enthalpy at 0 K: -226 kJ/mol of atoms
E (MP2020): -209.93 eV per cell
space group: P1 (1)
energy: -190.440 eV/cell

# 11
This record from Materials Project describes a geometry-optimized LiTaWO7 structure. The functional is GGA+U.

The structure in POSCAR format:
```
LiTaWO7
1.0
5.5608 -2.9339 -3.9150
3.6427 -1.1682 6.3422
-6.8269 -2.7377 -0.8694
W Li O Ta
2 2 14 2
direct
0.5000 0.0000 0.0000
0.5000 0.5000 0.5000
0.0000 0.0000 0.5000
0.0000 0.5000 0.0000
0.5579 0.3079 0.2500
0.1945 0.3124 0.2538
0.4415 0.0594 0.7538
0.8231 0.0731 0.7500
0.5585 0.3124 0.6179
0.4415 0.6876 0.3821
0.5585 0.9406 0.2462
0.0458 0.2958 0.7500
0.4421 0.6921 0.7500
0.8055 0.6876 0.7462
0.1769 0.9269 0.2500
0.9542 0.7042 0.2500
0.8055 0.0594 0.1179
0.1945 0.9406 0.8821
0.0000 0.0000 0.0000
0.5000 0.0000 0.5000
```

Values from the calculation:
formation enthalpy at 0 K: -216 kJ/mol of atoms
E (MP2020): -167.39 eV per cell
space group: Imma (74)
energy: -148.899 eV/cell

# 12
This record from Materials Project describes a geometry-optimized Li4VTeW2O12 structure. The functional is GGA+U.

The structure in POSCAR format:
```
Li4VTeW2O12
1.0
-0.1840 -2.8189 7.0337
-7.5443 0.7203 -0.5166
-0.9848 -6.8857 -3.4927
O V W Li Te
24 2 4 8 2
direct
0.9342 0.9330 0.7389
0.1001 0.2216 0.5649
0.0775 0.0473 0.2356
0.2517 0.0363 0.9294
0.0517 0.7418 0.0480
0.9618 0.2512 0.9218
0.7424 0.4096 0.5535
0.5517 0.2419 0.0479
0.7821 0.0682 0.4113
0.5776 0.5473 0.2358
0.2820 0.5682 0.4113
0.6001 0.7216 0.5649
0.9485 0.4112 0.2231
0.9383 0.7560 0.4223
0.0586 0.5733 0.7520
0.7511 0.9460 0.0416
0.4382 0.2560 0.4223
0.2512 0.4461 0.0415
0.7517 0.5363 0.9294
0.2424 0.9097 0.5535
0.4341 0.4331 0.7388
0.4619 0.7512 0.9219
0.4485 0.9112 0.2231
0.5586 0.0732 0.7519
0.0041 0.0092 0.0214
0.5042 0.5092 0.0217
0.4963 0.9977 0.0032
0.9950 0.0021 0.5207
0.4949 0.5021 0.5207
0.9965 0.4977 0.0032
0.7070 0.2871 0.2725
0.7140 0.2897 0.8102
0.7134 0.7999 0.2730
0.7142 0.7764 0.8118
0.2133 0.2999 0.2730
0.2140 0.7897 0.8102
0.2142 0.2764 0.8118
0.2070 0.7872 0.2725
0.9870 0.5134 0.5159
0.4870 0.0135 0.5158
```

Values from the calculation:
formation enthalpy at 0 K: -211 kJ/mol of atoms
E (MP2020): -297.91 eV per cell
energy: -260.269 eV/cell